# 1
! Mg6VCdO8 (GGA+U, relaxed); values from VASP
! DFT total energy = -5.902 eV/atom
! Formation enthalpy at 0 K = -255.9 kJ per mole of atoms
&SYSTEM
  ibrav = 0, nat = 16, ntyp = 4
/
ATOMIC_SPECIES
Mg 24.30 Mg.upf
V 50.94 V.upf
Cd 112.41 Cd.upf
O 16.00 O.upf
ATOMIC_POSITIONS crystal
Mg 0.500 0.000 0.000
Mg 0.500 0.500 0.500
Mg 0.257 0.000 0.500
Mg 0.743 0.000 0.500
Mg 0.257 0.500 0.000
Mg 0.743 0.500 0.000
V 0.000 0.000 0.000
Cd 0.000 0.500 0.500
O 0.255 0.000 0.000
O 0.745 0.000 0.000
O 0.267 0.500 0.500
O 0.733 0.500 0.500
O 0.000 0.000 0.500
O 0.500 0.000 0.500
O 0.000 0.500 0.000
O 0.500 0.500 0.000
CELL_PARAMETERS angstrom
8.702 0.000 0.000
0.000 4.384 0.000
0.000 0.000 4.384

=====

# 2
! Mg6VCdO8 (GGA+U, relaxed); values from VASP
! DFT total energy = -5.893 eV/atom
! Formation enthalpy at 0 K = -255.0 kJ per mole of atoms
&SYSTEM
  ibrav = 0, nat = 16, ntyp = 4
/
ATOMIC_SPECIES
Mg 24.30 Mg.upf
V 50.94 V.upf
Cd 112.41 Cd.upf
O 16.00 O.upf
ATOMIC_POSITIONS crystal
Mg 0.000 0.500 0.500
Mg 0.500 0.500 0.500
Mg 0.246 0.000 0.500
Mg 0.754 0.000 0.500
Mg 0.246 0.500 0.000
Mg 0.754 0.500 0.000
V 0.000 0.000 0.000
Cd 0.500 0.000 0.000
O 0.240 0.000 0.000
O 0.760 0.000 0.000
O 0.250 0.500 0.500
O 0.750 0.500 0.500
O 0.000 0.000 0.500
O 0.500 0.000 0.500
O 0.000 0.500 0.000
O 0.500 0.500 0.000
CELL_PARAMETERS angstrom
-1.049 -0.789 -8.694
3.958 -1.835 -0.311
-1.786 -3.951 0.574

=====

# 3
! Mg14VCdO16 (GGA+U, relaxed); values from VASP
! DFT total energy = -5.945 eV/atom
! Formation enthalpy at 0 K = -275.4 kJ per mole of atoms
&SYSTEM
  ibrav = 0, nat = 32, ntyp = 4
/
ATOMIC_SPECIES
Mg 24.30 Mg.upf
V 50.94 V.upf
Cd 112.41 Cd.upf
O 16.00 O.upf
ATOMIC_POSITIONS crystal
Mg 0.000 0.500 0.000
Mg 0.500 0.000 0.000
Mg 0.000 0.250 0.500
Mg 0.000 0.750 0.500
Mg 0.500 0.245 0.500
Mg 0.500 0.755 0.500
Mg 0.250 0.000 0.500
Mg 0.245 0.500 0.500
Mg 0.750 0.000 0.500
Mg 0.755 0.500 0.500
Mg 0.248 0.248 0.000
Mg 0.248 0.752 0.000
Mg 0.752 0.248 0.000
Mg 0.752 0.752 0.000
V 0.000 0.000 0.000
Cd 0.500 0.500 0.000
O 0.253 0.000 0.000
O 0.235 0.500 0.000
O 0.747 0.000 0.000
O 0.765 0.500 0.000
O 0.250 0.250 0.500
O 0.250 0.750 0.500
O 0.750 0.250 0.500
O 0.750 0.750 0.500
O 0.000 0.000 0.500
O 0.000 0.500 0.500
O 0.500 0.000 0.500
O 0.500 0.500 0.500
O 0.000 0.253 0.000
O 0.000 0.747 0.000
O 0.500 0.235 0.000
O 0.500 0.765 0.000
CELL_PARAMETERS angstrom
-1.741 7.960 2.801
-1.535 -3.111 7.887
4.160 0.549 1.026

=====

# 4
! Na2Mn2CdP3O12 (GGA+U, relaxed); values from VASP
! DFT total energy = -6.777 eV/atom
! Formation enthalpy at 0 K = -239.3 kJ per mole of atoms
&SYSTEM
  ibrav = 0, nat = 40, ntyp = 5
/
ATOMIC_SPECIES
Na 22.99 Na.upf
Mn 54.94 Mn.upf
Cd 112.41 Cd.upf
P 30.97 P.upf
O 16.00 O.upf
ATOMIC_POSITIONS crystal
Na 0.981 0.019 0.250
Na 0.019 0.981 0.750
Na 0.500 0.500 0.000
Na 0.500 0.500 0.500
Mn 0.384 0.064 0.363
Mn 0.616 0.936 0.637
Mn 0.936 0.616 0.137
Mn 0.064 0.384 0.863
Cd 0.267 0.733 0.250
Cd 0.733 0.267 0.750
P 0.718 0.282 0.250
P 0.282 0.718 0.750
P 0.656 0.872 0.126
P 0.344 0.128 0.874
P 0.128 0.344 0.374
P 0.872 0.656 0.626
O 0.544 0.263 0.246
O 0.456 0.737 0.754
O 0.737 0.456 0.254
O 0.263 0.544 0.746
O 0.537 0.723 0.178
O 0.463 0.277 0.822
O 0.277 0.463 0.322
O 0.723 0.537 0.678
O 0.744 0.165 0.456
O 0.256 0.835 0.544
O 0.835 0.256 0.044
O 0.165 0.744 0.956
O 0.598 0.953 0.307
O 0.402 0.047 0.693
O 0.047 0.402 0.193
O 0.953 0.598 0.807
O 0.827 0.829 0.116
O 0.173 0.171 0.884
O 0.171 0.173 0.384
O 0.829 0.827 0.616
O 0.328 0.005 0.101
O 0.672 0.995 0.899
O 0.995 0.672 0.399
O 0.005 0.328 0.601
CELL_PARAMETERS angstrom
6.371 6.158 0.000
-6.371 6.158 0.000
0.000 2.934 6.139

=====

# 5
! MnCd9O10 (GGA+U, relaxed); values from VASP
! DFT total energy = -4.340 eV/atom
! Formation enthalpy at 0 K = -136.9 kJ per mole of atoms
&SYSTEM
  ibrav = 0, nat = 80, ntyp = 3
/
ATOMIC_SPECIES
Mn 54.94 Mn.upf
Cd 112.41 Cd.upf
O 16.00 O.upf
ATOMIC_POSITIONS crystal
Mn 0.000 0.500 0.500
Mn 0.500 0.250 0.750
Mn 0.001 0.001 0.000
Mn 0.500 0.750 0.250
Cd 0.500 0.500 0.500
Cd 0.500 0.000 0.000
Cd 0.000 0.750 0.250
Cd 0.000 0.250 0.750
Cd 0.799 0.200 0.600
Cd 0.799 0.700 0.100
Cd 0.299 0.450 0.350
Cd 0.299 0.950 0.850
Cd 0.201 0.800 0.400
Cd 0.201 0.300 0.900
Cd 0.701 0.050 0.150
Cd 0.701 0.550 0.650
Cd 0.303 0.203 0.599
Cd 0.303 0.703 0.099
Cd 0.803 0.453 0.349
Cd 0.803 0.953 0.850
Cd 0.697 0.797 0.401
Cd 0.696 0.297 0.901
Cd 0.197 0.047 0.151
Cd 0.197 0.547 0.651
Cd 0.900 0.849 0.550
Cd 0.900 0.349 0.050
Cd 0.400 0.099 0.300
Cd 0.400 0.599 0.800
Cd 0.100 0.151 0.450
Cd 0.100 0.651 0.950
Cd 0.600 0.401 0.200
Cd 0.600 0.901 0.700
Cd 0.602 0.150 0.449
Cd 0.601 0.650 0.949
Cd 0.102 0.400 0.199
Cd 0.102 0.900 0.699
Cd 0.398 0.850 0.551
Cd 0.398 0.350 0.051
Cd 0.898 0.100 0.301
Cd 0.898 0.600 0.801
O 0.951 0.050 0.649
O 0.951 0.550 0.149
O 0.452 0.300 0.399
O 0.451 0.800 0.899
O 0.049 0.950 0.351
O 0.049 0.450 0.851
O 0.548 0.200 0.101
O 0.549 0.700 0.601
O 0.452 0.057 0.653
O 0.452 0.557 0.153
O 0.952 0.308 0.403
O 0.952 0.808 0.903
O 0.548 0.942 0.347
O 0.548 0.443 0.847
O 0.048 0.192 0.097
O 0.048 0.692 0.597
O 0.144 0.356 0.549
O 0.144 0.856 0.049
O 0.644 0.607 0.299
O 0.644 0.106 0.799
O 0.856 0.644 0.451
O 0.856 0.144 0.951
O 0.356 0.893 0.202
O 0.356 0.394 0.701
O 0.665 0.357 0.547
O 0.664 0.856 0.048
O 0.167 0.608 0.297
O 0.167 0.107 0.797
O 0.335 0.643 0.453
O 0.336 0.144 0.953
O 0.833 0.892 0.203
O 0.833 0.393 0.703
O 0.253 0.003 0.500
O 0.253 0.503 0.001
O 0.753 0.254 0.251
O 0.753 0.754 0.751
O 0.747 0.996 0.499
O 0.747 0.497 0.000
O 0.247 0.246 0.249
O 0.247 0.746 0.749
CELL_PARAMETERS angstrom
5.478 -2.951 2.549
-3.958 -5.022 -6.196
14.043 9.012 -10.864

=====

# 6
! Mn9CdO10 (GGA+U, relaxed); values from VASP
! DFT total energy = -7.433 eV/atom
! Formation enthalpy at 0 K = -181.8 kJ per mole of atoms
&SYSTEM
  ibrav = 0, nat = 20, ntyp = 3
/
ATOMIC_SPECIES
Mn 54.94 Mn.upf
Cd 112.41 Cd.upf
O 16.00 O.upf
ATOMIC_POSITIONS crystal
Mn 0.299 0.701 0.500
Mn 0.601 0.399 0.000
Mn 0.101 0.899 0.500
Mn 0.399 0.601 0.000
Mn 0.201 0.799 0.000
Mn 0.701 0.299 0.500
Mn 0.899 0.101 0.500
Mn 0.799 0.201 0.000
Mn 0.000 0.000 0.000
Cd 0.500 0.500 0.500
O 0.348 0.139 0.757
O 0.549 0.948 0.749
O 0.948 0.549 0.749
O 0.139 0.348 0.757
O 0.451 0.052 0.251
O 0.240 0.240 0.240
O 0.760 0.760 0.760
O 0.861 0.652 0.243
O 0.052 0.451 0.251
O 0.652 0.861 0.243
CELL_PARAMETERS angstrom
-6.594 -3.920 -3.678
7.387 -1.588 3.910
-2.217 -2.004 4.700

=====

# 7
! Mn2CdO3 (GGA+U, relaxed); values from VASP
! DFT total energy = -6.533 eV/atom
! Formation enthalpy at 0 K = -168.9 kJ per mole of atoms
&SYSTEM
  ibrav = 0, nat = 12, ntyp = 3
/
ATOMIC_SPECIES
Mn 54.94 Mn.upf
Cd 112.41 Cd.upf
O 16.00 O.upf
ATOMIC_POSITIONS crystal
Mn 0.667 0.000 0.667
Mn 0.333 0.000 0.333
Mn 0.167 0.500 0.167
Mn 0.833 0.500 0.833
Cd 0.000 0.000 0.000
Cd 0.500 0.500 0.500
O 0.750 0.250 0.250
O 0.250 0.750 0.750
O 0.929 0.750 0.429
O 0.429 0.250 0.929
O 0.571 0.750 0.071
O 0.071 0.250 0.571
CELL_PARAMETERS angstrom
2.311 -4.605 2.312
-2.283 -2.283 -4.614
4.605 -2.311 -2.312

=====

# 8
! MnCd6O8 (GGA+U, relaxed); values from VASP
! DFT total energy = -4.610 eV/atom
! Formation enthalpy at 0 K = -141.7 kJ per mole of atoms
&SYSTEM
  ibrav = 0, nat = 60, ntyp = 3
/
ATOMIC_SPECIES
Mn 54.94 Mn.upf
Cd 112.41 Cd.upf
O 16.00 O.upf
ATOMIC_POSITIONS crystal
Mn 0.500 0.500 0.000
Mn 0.750 0.250 0.500
Mn 0.250 0.750 0.500
Mn 0.000 0.000 0.000
Cd 0.125 0.375 0.750
Cd 0.375 0.125 0.250
Cd 0.625 0.875 0.750
Cd 0.875 0.625 0.250
Cd 0.250 0.250 0.000
Cd 0.500 0.000 0.500
Cd 0.750 0.750 0.000
Cd 0.000 0.500 0.500
Cd 0.375 0.625 0.750
Cd 0.625 0.375 0.250
Cd 0.875 0.125 0.750
Cd 0.125 0.875 0.250
Cd 0.375 0.125 0.750
Cd 0.625 0.875 0.250
Cd 0.875 0.625 0.750
Cd 0.125 0.375 0.250
Cd 0.500 0.500 0.500
Cd 0.750 0.250 0.000
Cd 0.000 0.000 0.500
Cd 0.250 0.750 0.000
Cd 0.625 0.375 0.750
Cd 0.875 0.125 0.250
Cd 0.125 0.875 0.750
Cd 0.375 0.625 0.250
O 0.375 0.375 0.750
O 0.625 0.125 0.250
O 0.875 0.875 0.750
O 0.125 0.625 0.250
O 0.625 0.625 0.250
O 0.875 0.375 0.750
O 0.125 0.125 0.250
O 0.375 0.875 0.750
O 0.210 0.000 0.000
O 0.460 0.750 0.500
O 0.710 0.500 0.000
O 0.960 0.250 0.500
O 0.645 0.145 0.710
O 0.895 0.895 0.210
O 0.145 0.645 0.710
O 0.395 0.395 0.210
O 0.500 0.290 0.000
O 0.750 0.040 0.500
O 0.000 0.790 0.000
O 0.250 0.540 0.500
O 0.355 0.855 0.290
O 0.605 0.605 0.790
O 0.855 0.355 0.290
O 0.105 0.105 0.790
O 0.500 0.710 0.000
O 0.750 0.460 0.500
O 0.000 0.210 0.000
O 0.250 0.960 0.500
O 0.790 0.000 0.000
O 0.040 0.750 0.500
O 0.290 0.500 0.000
O 0.540 0.250 0.500
CELL_PARAMETERS angstrom
9.411 0.000 0.000
0.000 0.000 -9.411
4.706 9.411 -4.706

=====

> Look up the formation enthalpy at 0 K of the third one.

-275.4 kJ per mole of atoms